The following is a DFT calculation (PBE) of a relaxed Zn5B4Rh8 crystal.

abc: 9.578 9.578 2.868
angles: 90.00 90.00 127.19
Sites, in units of the cell vectors:
Zn 0.000 0.000 0.000
Zn 0.198 0.802 0.000
Zn 0.354 0.354 0.000
Zn 0.646 0.646 0.000
Zn 0.802 0.198 0.000
B 0.156 0.466 0.000
B 0.466 0.156 0.000
B 0.534 0.844 0.000
B 0.844 0.534 0.000
Rh 0.000 0.500 0.500
Rh 0.081 0.267 0.500
Rh 0.267 0.081 0.500
Rh 0.376 0.624 0.500
Rh 0.500 0.000 0.500
Rh 0.624 0.376 0.500
Rh 0.733 0.919 0.500
Rh 0.919 0.733 0.500

Values from the calculation:
Total magnetic moment (μB per atom): 0.000
Calculated volume (Å³ per atom): 12.33
Crystal system: orthorhombic
Space-group type: No. 65
Raw total energy (eV/cell): -99.10
E_form (eV per atom): -0.422

---

The following is a DFT calculation (PBE) of a relaxed Zn5B3Rh7 crystal.

abc: 11.131 2.863 11.841
angles: 90.00 90.00 90.00
Sites, in units of the cell vectors:
Zn 0.049 0.000 0.134
Zn 0.131 0.000 0.349
Zn 0.250 0.000 0.809
Zn 0.369 0.000 0.349
Zn 0.451 0.000 0.134
Zn 0.549 0.000 0.866
Zn 0.631 0.000 0.651
Zn 0.750 0.000 0.191
Zn 0.869 0.000 0.651
Zn 0.951 0.000 0.866
B 0.117 0.000 0.594
B 0.250 0.000 0.040
B 0.383 0.000 0.594
B 0.617 0.000 0.406
B 0.750 0.000 0.960
B 0.883 0.000 0.406
Rh 0.000 0.500 0.500
Rh 0.077 0.500 0.721
Rh 0.126 0.500 0.963
Rh 0.250 0.500 0.182
Rh 0.250 0.500 0.528
Rh 0.374 0.500 0.963
Rh 0.423 0.500 0.721
Rh 0.500 0.500 0.500
Rh 0.577 0.500 0.279
Rh 0.626 0.500 0.037
Rh 0.750 0.500 0.472
Rh 0.750 0.500 0.818
Rh 0.874 0.500 0.037
Rh 0.923 0.500 0.279

Values from the calculation:
Calculated volume (Å³ per atom): 12.58
Crystal system: orthorhombic
Space-group type: No. 51
Raw total energy (eV/cell): -168.79
E_form (eV per atom): -0.434